LiFeF4 | PBE+U | optimized geometry

Cell and atoms, written as POSCAR:
```
LiFeF4
1.0
6.9889 0.0000 0.0000
-1.6658 8.2805 0.0000
-2.8930 -1.7566 9.1595
Li Fe F
6 6 24
Direct
0.0324 0.1145 0.2814 Li
0.2507 0.6971 0.9114 Li
0.4612 0.3080 0.5082 Li
0.5388 0.6920 0.4918 Li
0.7493 0.3029 0.0886 Li
0.9676 0.8855 0.7186 Li
0.0239 0.2967 0.6249 Fe
0.3032 0.4010 0.1571 Fe
0.4941 0.0039 0.2415 Fe
0.5059 0.9961 0.7585 Fe
0.6968 0.5990 0.8429 Fe
0.9761 0.7033 0.3751 Fe
0.0195 0.1169 0.7162 F
0.0511 0.2685 0.1481 F
0.1360 0.2664 0.4753 F
0.1639 0.4867 0.7585 F
0.2395 0.5730 0.0705 F
0.2444 0.6944 0.4628 F
0.2572 0.8669 0.7566 F
0.3233 0.9038 0.0589 F
0.3500 0.1355 0.3194 F
0.4439 0.2887 0.0642 F
0.4476 0.1492 0.6435 F
0.4581 0.4799 0.3531 F
0.5419 0.5201 0.6469 F
0.5524 0.8508 0.3565 F
0.5561 0.7113 0.9358 F
0.6500 0.8645 0.6806 F
0.6767 0.0962 0.9411 F
0.7428 0.1331 0.2434 F
0.7556 0.3056 0.5372 F
0.7605 0.4270 0.9295 F
0.8361 0.5133 0.2415 F
0.8640 0.7336 0.5247 F
0.9489 0.7315 0.8519 F
0.9805 0.8831 0.2838 F
```

Raw total energy in eV/atom: -5.06
V in A^3/atom: 14.7
Space group: P-1, No. 2
Magnetization in μB/f.u.: 1.67

***

NaTbMnWO6 | PBE+U | optimized geometry

Cell and atoms, written as POSCAR:
```
NaTbMnWO6
1.0
5.4831 0.0000 0.0000
0.0000 5.6738 0.0000
-0.0050 0.0000 8.0080
Na Tb Mn W O
2 2 2 2 12
Direct
0.2488 0.0000 0.4991 Na
0.7512 0.5000 0.5009 Na
0.2347 0.9035 0.9985 Tb
0.7653 0.4035 0.0015 Tb
0.2520 0.4595 0.7418 Mn
0.7480 0.9595 0.2582 Mn
0.2617 0.4693 0.2562 W
0.7383 0.9693 0.7438 W
0.0304 0.1609 0.8201 O
0.0667 0.1939 0.1784 O
0.1699 0.4318 0.4797 O
0.3632 0.5102 0.0069 O
0.4107 0.7738 0.2828 O
0.4396 0.8022 0.7253 O
0.5604 0.3022 0.2747 O
0.5893 0.2738 0.7172 O
0.6368 0.0102 0.9931 O
0.8301 0.9318 0.5203 O
0.9333 0.6939 0.8216 O
0.9696 0.6609 0.1799 O
```

Raw total energy in eV/atom: -7.44
V in A^3/atom: 12.5
Space group: P2_1, No. 4
Magnetization in μB/f.u.: 5.00

***

MgMn6O10F2 | PBE+U | optimized geometry

Cell and atoms, written as POSCAR:
```
MgMn6O10F2
1.0
6.8425 0.0000 0.0000
0.0000 2.9519 0.0000
-3.1847 0.0000 10.6401
Mg Mn O F
1 6 10 2
Direct
0.0000 0.0000 0.0000 Mg
0.1666 0.0000 0.8033 Mn
0.3605 0.5000 0.1880 Mn
0.5085 0.0000 0.4856 Mn
0.6325 0.5000 0.7840 Mn
0.8321 0.0000 0.2003 Mn
0.9826 0.5000 0.5001 Mn
0.0007 0.5000 0.8593 O
0.0362 0.0000 0.6173 O
0.2998 0.0000 0.0696 O
0.3423 0.5000 0.7991 O
0.3782 0.0000 0.3051 O
0.6049 0.0000 0.6710 O
0.6512 0.5000 0.1960 O
0.6845 0.5000 0.4806 O
0.9559 0.0000 0.3838 O
0.9859 0.5000 0.1369 O
0.3098 0.5000 0.5019 F
0.6997 0.0000 0.9247 F
```

Raw total energy in eV/atom: -6.93
V in A^3/atom: 11.3
Space group: Pm, No. 6
Magnetization in μB/f.u.: 22.00

***

no.,E_form (meV/atom)
1,-2738
2,-2690
3,-2079